Entry 1:
Computed, not measured: a relaxed structure of ZrAg at the PBE level of DFT.

Crystal system   tetragonal
SG   P4/nmm

abc: 3.4994 3.4994 6.6778
angles: 90.00 90.00 90.00
Atoms (fractional coordinates):
Zr1 0.2500 0.2500 0.1426
Zr2 0.7500 0.7500 0.8574
Ag1 0.2500 0.2500 0.6149
Ag2 0.7500 0.7500 0.3851


Entry 2:
Computed, not measured: a relaxed structure of LiSn3 at the PBE level of DFT.

Crystal system   tetragonal
SG   I4/mmm

abc: 4.5803 4.5803 9.5871
angles: 90.00 90.00 90.00
Atoms (fractional coordinates):
Li1 0.0000 0.0000 0.0000
Li2 0.5000 0.5000 0.5000
Sn1 0.0000 0.0000 0.5000
Sn2 0.0000 0.5000 0.2500
Sn3 0.0000 0.5000 0.7500
Sn4 0.5000 0.0000 0.2500
Sn5 0.5000 0.0000 0.7500
Sn6 0.5000 0.5000 0.0000


Entry 3:
Computed, not measured: a relaxed structure of GdEr3Mn8 at the PBE level of DFT.

Crystal system   monoclinic
SG   Cm

abc: 4.8924 4.8924 7.9139
angles: 90.40 90.40 59.98
Atoms (fractional coordinates):
Gd1 0.0000 0.0000 0.0000
Er1 0.0000 0.0000 0.6256
Er2 0.3333 0.3333 0.1258
Er3 0.3333 0.3333 0.4996
Mn1 0.0034 0.4982 0.8118
Mn2 0.3297 0.8354 0.3135
Mn3 0.4982 0.0034 0.8118
Mn4 0.4982 0.4982 0.8118
Mn5 0.6666 0.6666 0.0630
Mn6 0.6667 0.6667 0.5621
Mn7 0.8354 0.3297 0.3135
Mn8 0.8352 0.8352 0.3135


Entry 4:
Computed, not measured: a relaxed structure of Ce2SiSeO4 at the PBE level of DFT.

Corrected total energy (MP2020 scheme)   -8.323 eV/atom
Crystal system   orthorhombic
SG   Pbcm

abc: 6.2854 7.2603 11.1791
angles: 90.00 90.00 90.00
Atoms (fractional coordinates):
Ce1 0.1075 0.2500 0.0000
Ce2 0.1075 0.2500 0.5000
Ce3 0.3678 0.5345 0.2500
Ce4 0.3678 0.9655 0.7500
Ce5 0.6322 0.0345 0.2500
Ce6 0.6322 0.4655 0.7500
Ce7 0.8925 0.7500 0.0000
Ce8 0.8925 0.7500 0.5000
Si1 0.3870 0.7500 0.0000
Si2 0.3870 0.7500 0.5000
Si3 0.6130 0.2500 0.0000
Si4 0.6130 0.2500 0.5000
Se1 0.0758 0.6108 0.7500
Se2 0.0758 0.8892 0.2500
Se3 0.9242 0.1108 0.7500
Se4 0.9242 0.3892 0.2500
O1 0.2299 0.5751 0.0316
O2 0.2299 0.5751 0.4684
O3 0.2299 0.9249 0.5316
O4 0.2299 0.9249 0.9684
O5 0.4532 0.2345 0.6173
O6 0.4532 0.2345 0.8827
O7 0.4532 0.2655 0.1173
O8 0.4532 0.2655 0.3827
O9 0.5468 0.7345 0.6173
O10 0.5468 0.7345 0.8827
O11 0.5468 0.7655 0.1173
O12 0.5468 0.7655 0.3827
O13 0.7701 0.0751 0.0316
O14 0.7701 0.0751 0.4684
O15 0.7701 0.4249 0.5316
O16 0.7701 0.4249 0.9684


Entry 5:
Computed, not measured: a relaxed structure of SiO2 at the PBE level of DFT.

Corrected total energy (MP2020 scheme)   -8.368 eV/atom
Crystal system   triclinic
SG   P1

abc: 11.3238 13.9344 13.9379
angles: 60.02 89.99 90.00
Atoms (fractional coordinates):
Si1 0.0000 0.0000 0.0000
Si2 0.0003 0.3638 0.0179
Si3 0.0012 0.2015 0.5820
Si4 0.1292 0.4010 0.1936
Si5 0.1299 0.1637 0.4065
Si6 0.1323 0.7708 0.4187
Si7 0.1330 0.1751 0.7890
Si8 0.1330 0.3897 0.8110
Si9 0.1329 0.7943 0.1815
Si10 0.4093 0.1640 0.4063
Si11 0.4090 0.4016 0.1936
Si12 0.4115 0.7708 0.4192
Si13 0.4117 0.1749 0.7892
Si14 0.4124 0.3893 0.8112
Si15 0.4118 0.7942 0.1820
Si16 0.5411 0.2008 0.5808
Si17 0.5421 0.3644 0.0194
Si18 0.5432 0.9828 0.3825
Si19 0.5441 0.0014 0.0011
Si20 0.5436 0.5828 0.2174
Si21 0.5448 0.5640 0.5996
Si22 0.6291 0.1168 0.1342
Si23 0.6286 0.4481 0.4659
Si24 0.7704 0.9335 0.5349
Si25 0.7706 0.6331 0.0648
Si26 0.7713 0.8991 0.9502
Si27 0.7717 0.0514 0.6835
Si28 0.7719 0.5152 0.9163
Si29 0.7716 0.6674 0.6500
Si30 0.9132 0.4490 0.4676
Si31 0.9140 0.1156 0.1332
Si32 0.9976 0.5834 0.2194
Si33 0.9982 0.9814 0.3818
Si34 0.9994 0.5653 0.6002
O1 0.0540 0.1460 0.5129
O2 0.0542 0.4195 0.0865
O3 0.0555 0.0697 0.8766
O4 0.0550 0.8584 0.4368
O5 0.0562 0.7056 0.1648
O6 0.0566 0.4957 0.7228
O7 0.0952 0.2818 0.2995
O8 0.0961 0.4982 0.2207
O9 0.0984 0.0649 0.3814
O10 0.0984 0.2828 0.7993
O11 0.0990 0.7837 0.2995
O12 0.1005 0.6461 0.5159
O13 0.1016 0.3645 0.9350
O14 0.1015 0.9183 0.0827
O15 0.1032 0.1993 0.6651
O16 0.2692 0.4067 0.1664
O17 0.2696 0.1595 0.4340
O18 0.2723 0.1468 0.8146
O19 0.2723 0.7704 0.1771
O20 0.2718 0.7941 0.4242
O21 0.2728 0.4173 0.7873
O22 0.4412 0.0660 0.3800
O23 0.4413 0.1991 0.6653
O24 0.4418 0.4996 0.2197
O25 0.4434 0.2828 0.2999
O26 0.4433 0.3633 0.9355
O27 0.4434 0.6468 0.5176
O28 0.4433 0.9184 0.0839
O29 0.4453 0.7823 0.3007
O30 0.4467 0.2826 0.7992
O31 0.4841 0.4195 0.0868
O32 0.4853 0.1452 0.5129
O33 0.4880 0.8592 0.4368
O34 0.4891 0.0695 0.8773
O35 0.4885 0.7063 0.1639
O36 0.4897 0.4949 0.7234
O37 0.5762 0.3285 0.4933
O38 0.5815 0.0885 0.0413
O39 0.5807 0.2376 0.1071
O40 0.5830 0.4781 0.5583
O41 0.5847 0.0226 0.2563
O42 0.5859 0.5428 0.3434
O43 0.6535 0.5851 0.1417
O44 0.6536 0.9812 0.4574
O45 0.6551 0.4374 0.9499
O46 0.6555 0.1300 0.6497
O47 0.6574 0.9310 0.9996
O48 0.6579 0.6346 0.6012
O49 0.7685 0.7993 0.6054
O50 0.7686 0.7673 0.9940
O51 0.7702 0.6007 0.7841
O52 0.7701 0.9666 0.8160
O53 0.7709 0.4417 0.4688
O54 0.7715 0.1190 0.1321
O55 0.7740 0.9810 0.6198
O56 0.7754 0.5853 0.9803
O57 0.8850 0.5880 0.1456
O58 0.8854 0.9786 0.4547
O59 0.8872 0.1310 0.6523
O60 0.8869 0.4352 0.9471
O61 0.8892 0.9276 0.9976
O62 0.8900 0.6387 0.6035
O63 0.9554 0.4794 0.5606
O64 0.9578 0.5441 0.3460
O65 0.9594 0.0215 0.2549
O66 0.9592 0.0861 0.0403
O67 0.9638 0.2362 0.1049
O68 0.9666 0.3297 0.4955


Entry 6:
Computed, not measured: a relaxed structure of Hf3TiV8 at the PBE level of DFT.

Crystal system   trigonal
SG   R3m

abc: 8.9416 8.9416 8.9416
angles: 33.35 33.35 33.35
Atoms (fractional coordinates):
Hf1 0.0000 0.0000 0.0000
Hf2 0.1261 0.1261 0.1261
Hf3 0.6231 0.6231 0.6231
Ti1 0.4993 0.4993 0.4993
V1 0.0616 0.0616 0.5587
V2 0.0616 0.5587 0.0616
V3 0.0651 0.5634 0.5634
V4 0.3112 0.3112 0.3112
V5 0.5587 0.0616 0.0616
V6 0.5634 0.0651 0.5634
V7 0.5634 0.5634 0.0651
V8 0.8129 0.8129 0.8129


Entry 7:
Computed, not measured: a relaxed structure of DyAgSn at the PBE level of DFT.

Crystal system   trigonal
SG   P-3m1

abc: 4.8324 4.8324 7.4783
angles: 90.00 90.00 120.00
Atoms (fractional coordinates):
Dy1 0.0000 0.0000 0.2266
Dy2 0.0000 0.0000 0.7734
Ag1 0.3333 0.6667 0.9761
Ag2 0.6667 0.3333 0.0239
Sn1 0.3333 0.6667 0.5627
Sn2 0.6667 0.3333 0.4373


Entry 8:
Computed, not measured: a relaxed structure of Na2HSNO3 at the PBE level of DFT.

Corrected total energy (MP2020 scheme)   -5.684 eV/atom
Crystal system   orthorhombic
SG   Pccn

abc: 8.3060 17.0314 5.8981
angles: 90.00 90.00 90.00
Atoms (fractional coordinates):
Na1 0.1092 0.1696 0.1333
Na2 0.1092 0.3304 0.6333
Na3 0.1907 0.5288 0.3412
Na4 0.1907 0.9712 0.8412
Na5 0.3093 0.5288 0.8412
Na6 0.3093 0.9712 0.3412
Na7 0.3908 0.1696 0.6333
Na8 0.3908 0.3304 0.1333
Na9 0.6092 0.6696 0.8667
Na10 0.6092 0.8304 0.3667
Na11 0.6907 0.0288 0.6588
Na12 0.6907 0.4712 0.1588
Na13 0.8093 0.0288 0.1588
Na14 0.8093 0.4712 0.6588
Na15 0.8908 0.6696 0.3667
Na16 0.8908 0.8304 0.8667
H1 0.1666 0.6709 0.0195
H2 0.1666 0.8291 0.5195
H3 0.3334 0.6709 0.5195
H4 0.3334 0.8291 0.0195
H5 0.6666 0.1709 0.9805
H6 0.6666 0.3291 0.4805
H7 0.8334 0.1709 0.4805
H8 0.8334 0.3291 0.9805
S1 0.0349 0.1172 0.6375
S2 0.0349 0.3828 0.1375
S3 0.4651 0.1172 0.1375
S4 0.4651 0.3828 0.6375
S5 0.5349 0.6172 0.3625
S6 0.5349 0.8828 0.8625
S7 0.9651 0.6172 0.8625
S8 0.9651 0.8828 0.3625
N1 0.0871 0.6277 0.0659
N2 0.0871 0.8723 0.5659
N3 0.4129 0.6277 0.5659
N4 0.4129 0.8723 0.0659
N5 0.5871 0.1277 0.9341
N6 0.5871 0.3723 0.4341
N7 0.9129 0.1277 0.4341
N8 0.9129 0.3723 0.9341
O1 0.0362 0.5725 0.6661
O2 0.0362 0.9275 0.1661
O3 0.0940 0.1947 0.7276
O4 0.0940 0.3053 0.2276
O5 0.1747 0.0721 0.5474
O6 0.1747 0.4279 0.0474
O7 0.3253 0.0721 0.0474
O8 0.3253 0.4279 0.5474
O9 0.4060 0.1947 0.2276
O10 0.4060 0.3053 0.7276
O11 0.4638 0.5725 0.1661
O12 0.4638 0.9275 0.6661
O13 0.5362 0.0725 0.3339
O14 0.5362 0.4275 0.8339
O15 0.5940 0.6947 0.2724
O16 0.5940 0.8053 0.7724
O17 0.6747 0.5721 0.4526
O18 0.6747 0.9279 0.9526
O19 0.8253 0.5721 0.9526
O20 0.8253 0.9279 0.4526
O21 0.9060 0.6947 0.7724
O22 0.9060 0.8053 0.2724
O23 0.9638 0.0725 0.8339
O24 0.9638 0.4275 0.3339


Entry 9:
Computed, not measured: a relaxed structure of Ni16GeP5 at the PBE level of DFT.

Crystal system   triclinic
SG   P-1

abc: 6.5810 6.6584 6.7495
angles: 98.64 102.54 119.24
Atoms (fractional coordinates):
Ni1 0.0179 0.1972 0.1627
Ni2 0.0447 0.2042 0.7990
Ni3 0.1738 0.6250 0.3980
Ni4 0.2061 0.0042 0.6033
Ni5 0.2787 0.6453 0.7976
Ni6 0.3863 0.9163 0.1489
Ni7 0.4143 0.2712 0.3935
Ni8 0.4448 0.5556 0.1645
Ni9 0.5552 0.4444 0.8355
Ni10 0.5857 0.7288 0.6065
Ni11 0.6137 0.0837 0.8511
Ni12 0.7213 0.3547 0.2024
Ni13 0.7939 0.9958 0.3967
Ni14 0.8262 0.3750 0.6020
Ni15 0.9553 0.7958 0.2010
Ni16 0.9821 0.8028 0.8373
Ge1 0.0000 0.5000 0.0000
P1 0.1735 0.3358 0.5325
P2 0.3303 0.1693 0.9991
P3 0.5000 0.0000 0.5000
P4 0.6697 0.8307 0.0009
P5 0.8265 0.6642 0.4675


Entry 10:
Computed, not measured: a relaxed structure of Mg16Al12Ag at the PBE level of DFT.

Polymorph energy (0 for the lowest one)   0 meV per atom
Crystal system   monoclinic
SG   Cm

abc: 9.0618 9.0618 9.0849
angles: 109.47 109.47 109.13
Atoms (fractional coordinates):
Mg1 0.0000 0.0000 0.0000
Mg2 0.9998 0.4006 0.0256
Mg3 0.0025 0.6530 0.3466
Mg4 0.0032 0.6873 0.7426
Mg5 0.0054 0.0054 0.3471
Mg6 0.2869 0.5994 0.9432
Mg7 0.3123 0.3123 0.0509
Mg8 0.3219 0.7098 0.6569
Mg9 0.3639 0.3639 0.6827
Mg10 0.4006 0.9998 0.0256
Mg11 0.4092 0.6785 0.3491
Mg12 0.5994 0.2869 0.9432
Mg13 0.6530 0.0025 0.3466
Mg14 0.6785 0.4092 0.3491
Mg15 0.6873 0.0032 0.7426
Mg16 0.7098 0.3219 0.6569
Al1 0.0019 0.1876 0.7072
Al2 0.1795 0.3620 0.3362
Al3 0.1826 0.8117 0.1576
Al4 0.1876 0.0019 0.7072
Al5 0.3620 0.1795 0.3362
Al6 0.3677 0.9983 0.5251
Al7 0.6350 0.8204 0.9800
Al8 0.6369 0.6369 0.1645
Al9 0.8117 0.1826 0.1576
Al10 0.8185 0.8185 0.5262
Al11 0.8204 0.6350 0.9800
Al12 0.9983 0.3677 0.5251
Ag1 0.6440 0.6440 0.6652


Entry 11:
Computed, not measured: a relaxed structure of Cr11Ni40Mo9 at the PBE level of DFT.

Polymorph energy (0 for the lowest one)   0 meV per atom
Crystal system   triclinic
SG   P1

abc: 6.2432 9.1829 12.5845
angles: 87.45 80.19 77.46
Atoms (fractional coordinates):
Cr1 0.0000 0.0000 0.0000
Cr2 0.0008 0.5012 0.5042
Cr3 0.0991 0.0489 0.6532
Cr4 0.2947 0.6473 0.4559
Cr5 0.3875 0.1918 0.6058
Cr6 0.5070 0.7530 0.7488
Cr7 0.5856 0.7927 0.4078
Cr8 0.6079 0.3023 0.8992
Cr9 0.7950 0.3977 0.2033
Cr10 0.7968 0.8958 0.7026
Cr11 0.8912 0.4415 0.8531
Ni1 0.0009 0.3300 0.6715
Ni2 0.0009 0.8325 0.1708
Ni3 0.0903 0.3821 0.3255
Ni4 0.0951 0.8855 0.8161
Ni5 0.0982 0.2130 0.4914
Ni6 0.0986 0.7159 0.9837
Ni7 0.1933 0.2640 0.1371
Ni8 0.1941 0.7669 0.6368
Ni9 0.1991 0.9286 0.4747
Ni10 0.2017 0.4309 0.9666
Ni11 0.2934 0.4821 0.6181
Ni12 0.2962 0.9805 0.1190
Ni13 0.2981 0.8105 0.2914
Ni14 0.3019 0.3119 0.7821
Ni15 0.3894 0.3654 0.4390
Ni16 0.3965 0.5318 0.2737
Ni17 0.3957 0.8625 0.9301
Ni18 0.3998 0.0282 0.7643
Ni19 0.4948 0.0818 0.4263
Ni20 0.4981 0.4136 0.0827
Ni21 0.4992 0.9136 0.5876
Ni22 0.5018 0.5797 0.9173
Ni23 0.5916 0.6340 0.5703
Ni24 0.5922 0.9619 0.2379
Ni25 0.5986 0.1326 0.0664
Ni26 0.6004 0.4640 0.7363
Ni27 0.6933 0.5166 0.3880
Ni28 0.6976 0.1783 0.7202
Ni29 0.6978 0.6810 0.2231
Ni30 0.7000 0.0139 0.8818
Ni31 0.7939 0.7307 0.8654
Ni32 0.7971 0.2329 0.3708
Ni33 0.7994 0.0611 0.5419
Ni34 0.7999 0.5609 0.0327
Ni35 0.8921 0.6137 0.6850
Ni36 0.8963 0.2816 0.0180
Ni37 0.8967 0.7777 0.5240
Ni38 0.8980 0.1144 0.1822
Ni39 0.9953 0.1658 0.8342
Ni40 0.9985 0.6622 0.3415
Mo1 0.0918 0.5458 0.1548
Mo2 0.1957 0.0968 0.3062
Mo3 0.1983 0.5992 0.7995
Mo4 0.2993 0.1458 0.9494
Mo5 0.3997 0.6957 0.1029
Mo6 0.4999 0.2505 0.2533
Mo7 0.6957 0.3484 0.5552
Mo8 0.7011 0.8493 0.0497
Mo9 0.8886 0.9440 0.3577


Calculated volume
In order: 20.4; 25.1; 13.7; 15.9; 18.7; 16.0; 25.2; 13.0; 10.9; 19.9; 11.6
Unit: A^3/atom
Total energy
In order: -5.81; -3.61; -7.80; -7.98; -7.91; -9.16; -4.12; -5.43; -6.09; -2.57; -7.29
Unit: eV per atom
Energy relative to the elements
In order: -0.12; -0.13; 0.63; -3.25; -3.26; 0.05; -0.30; -1.51; -0.44; -0.04; -0.04
Unit: eV/atom